1.
Na3SiH5O6 after structural relaxation, computed with PBE-GGA.

Properties
- offset from the most stable computed form (eV per formula unit) = 0.12
- E (MP2020) (hartree per atom) = -0.2071
- DFT formation energy (eV/f.u.) = -28.5
- E (eV per atom) = -5.36

a = 10.169 Å, b = 11.422 Å, c = 10.589 Å
α = 90.00°, β = 90.00°, γ = 90.00°
Space group Pbca (No. 61)
Inequivalent atoms, fractional coordinates:
Na 0.045 0.079 0.113 (multiplicity 8)
Na 0.049 0.157 0.453 (multiplicity 8)
Na 0.245 0.570 0.893 (multiplicity 8)
Si 0.016 0.647 0.748 (multiplicity 8)
H 0.112 0.533 0.139 (multiplicity 8)
H 0.179 0.656 0.166 (multiplicity 8)
H 0.188 0.219 0.698 (multiplicity 8)
H 0.189 0.654 0.514 (multiplicity 8)
H 0.190 0.691 0.366 (multiplicity 8)
O 0.029 0.521 0.821 (multiplicity 8)
O 0.035 0.134 0.897 (multiplicity 8)
O 0.095 0.229 0.668 (multiplicity 8)
O 0.155 0.723 0.760 (multiplicity 8)
O 0.187 0.586 0.109 (multiplicity 8)
O 0.219 0.628 0.431 (multiplicity 8)



2.
NaSi8H7O20 after structural relaxation, computed with PBE-GGA.

Properties
- E (MP2020) (hartree per atom) = -0.2662
- DFT formation energy (eV/f.u.) = -93.4
- E (eV per atom) = -6.86

a = 7.453 Å, b = 15.069 Å, c = 49.255 Å
α = 90.23°, β = 90.04°, γ = 90.09°
Space group P1 (No. 1)
Inequivalent atoms, fractional coordinates:
Na 0.000 0.000 0.000 (multiplicity 1)
Na 0.008 0.455 0.103 (multiplicity 1)
Na 0.495 0.108 0.028 (multiplicity 1)
Na 0.510 0.558 0.121 (multiplicity 1)
Si 0.004 0.684 0.920 (multiplicity 1)
Si 0.014 0.185 0.914 (multiplicity 1)
Si 0.203 0.286 0.006 (multiplicity 1)
Si 0.205 0.805 0.005 (multiplicity 1)
Si 0.219 0.122 0.162 (multiplicity 1)
Si 0.225 0.624 0.168 (multiplicity 1)
Si 0.228 0.915 0.162 (multiplicity 1)
Si 0.237 0.420 0.171 (multiplicity 1)
Si 0.278 0.439 0.963 (multiplicity 1)
Si 0.280 0.938 0.955 (multiplicity 1)
Si 0.292 0.644 0.967 (multiplicity 1)
Si 0.298 0.143 0.961 (multiplicity 1)
Si 0.310 0.761 0.120 (multiplicity 1)
Si 0.311 0.281 0.123 (multiplicity 1)
Si 0.505 0.162 0.208 (multiplicity 1)
Si 0.512 0.661 0.214 (multiplicity 1)
Si 0.521 0.864 0.206 (multiplicity 1)
Si 0.527 0.367 0.212 (multiplicity 1)
Si 0.702 0.433 0.964 (multiplicity 1)
Si 0.706 0.931 0.955 (multiplicity 1)
Si 0.712 0.640 0.966 (multiplicity 1)
Si 0.722 0.756 0.120 (multiplicity 1)
Si 0.723 0.135 0.957 (multiplicity 1)
Si 0.723 0.268 0.119 (multiplicity 1)
Si 0.791 0.274 0.004 (multiplicity 1)
Si 0.791 0.797 0.005 (multiplicity 1)
Si 0.795 0.117 0.163 (multiplicity 1)
Si 0.798 0.619 0.168 (multiplicity 1)
Si 0.810 0.911 0.161 (multiplicity 1)
Si 0.814 0.412 0.165 (multiplicity 1)
Si 0.989 0.390 0.918 (multiplicity 1)
Si 0.994 0.889 0.911 (multiplicity 1)
H 0.012 0.424 0.874 (multiplicity 1)
H 0.024 0.066 0.885 (multiplicity 1)
H 0.025 0.733 0.096 (multiplicity 1)
H 0.034 0.284 0.098 (multiplicity 1)
H 0.039 0.916 0.866 (multiplicity 1)
H 0.175 0.036 0.047 (multiplicity 1)
H 0.221 0.614 0.091 (multiplicity 1)
H 0.232 0.489 0.031 (multiplicity 1)
H 0.263 0.522 0.076 (multiplicity 1)
H 0.278 0.951 0.033 (multiplicity 1)
H 0.281 0.397 0.045 (multiplicity 1)
H 0.488 0.281 0.029 (multiplicity 1)
H 0.498 0.039 0.235 (multiplicity 1)
H 0.505 0.120 0.090 (multiplicity 1)
H 0.516 0.833 0.028 (multiplicity 1)
H 0.524 0.544 0.242 (multiplicity 1)
H 0.569 0.905 0.249 (multiplicity 1)
H 0.618 0.399 0.255 (multiplicity 1)
H 0.627 0.181 0.072 (multiplicity 1)
H 0.723 0.954 0.035 (multiplicity 1)
H 0.766 0.519 0.077 (multiplicity 1)
H 0.802 0.616 0.091 (multiplicity 1)
H 0.818 0.045 0.044 (multiplicity 1)
H 0.840 0.354 0.067 (multiplicity 1)
H 0.946 0.138 0.078 (multiplicity 1)
H 0.976 0.419 0.052 (multiplicity 1)
H 0.992 0.558 0.893 (multiplicity 1)
H 0.993 0.173 0.050 (multiplicity 1)
O 0.004 0.290 0.906 (multiplicity 1)
O 0.008 0.133 0.169 (multiplicity 1)
O 0.008 0.623 0.893 (multiplicity 1)
O 0.008 0.784 0.907 (multiplicity 1)
O 0.011 0.636 0.173 (multiplicity 1)
O 0.019 0.902 0.170 (multiplicity 1)
O 0.023 0.405 0.175 (multiplicity 1)
O 0.052 0.129 0.887 (multiplicity 1)
O 0.162 0.315 0.102 (multiplicity 1)
O 0.167 0.422 0.935 (multiplicity 1)
O 0.170 0.928 0.927 (multiplicity 1)
O 0.176 0.179 0.937 (multiplicity 1)
O 0.178 0.674 0.940 (multiplicity 1)
O 0.178 0.734 0.095 (multiplicity 1)
O 0.196 0.872 0.978 (multiplicity 1)
O 0.202 0.372 0.986 (multiplicity 1)
O 0.220 0.456 0.048 (multiplicity 1)
O 0.241 0.015 0.031 (multiplicity 1)
O 0.246 0.039 0.967 (multiplicity 1)
O 0.248 0.540 0.974 (multiplicity 1)
O 0.249 0.705 0.993 (multiplicity 1)
O 0.254 0.551 0.094 (multiplicity 1)
O 0.263 0.196 0.989 (multiplicity 1)
O 0.266 0.182 0.135 (multiplicity 1)
O 0.267 0.019 0.154 (multiplicity 1)
O 0.271 0.520 0.159 (multiplicity 1)
O 0.277 0.856 0.135 (multiplicity 1)
O 0.302 0.683 0.144 (multiplicity 1)
O 0.321 0.352 0.149 (multiplicity 1)
O 0.328 0.644 0.196 (multiplicity 1)
O 0.333 0.156 0.188 (multiplicity 1)
O 0.337 0.300 0.032 (multiplicity 1)
O 0.337 0.845 0.027 (multiplicity 1)
O 0.341 0.407 0.199 (multiplicity 1)
O 0.343 0.886 0.188 (multiplicity 1)
O 0.484 0.104 0.235 (multiplicity 1)
O 0.489 0.421 0.957 (multiplicity 1)
O 0.492 0.922 0.950 (multiplicity 1)
O 0.502 0.654 0.958 (multiplicity 1)
O 0.507 0.609 0.242 (multiplicity 1)
O 0.509 0.151 0.953 (multiplicity 1)
O 0.512 0.282 0.110 (multiplicity 1)
O 0.514 0.264 0.220 (multiplicity 1)
O 0.516 0.758 0.108 (multiplicity 1)
O 0.522 0.767 0.220 (multiplicity 1)
O 0.528 0.932 0.233 (multiplicity 1)
O 0.563 0.428 0.239 (multiplicity 1)
O 0.567 0.123 0.072 (multiplicity 1)
O 0.643 0.249 0.026 (multiplicity 1)
O 0.663 0.831 0.029 (multiplicity 1)
O 0.687 0.139 0.191 (multiplicity 1)
O 0.690 0.379 0.190 (multiplicity 1)
O 0.690 0.632 0.196 (multiplicity 1)
O 0.696 0.877 0.187 (multiplicity 1)
O 0.713 0.680 0.145 (multiplicity 1)
O 0.725 0.181 0.139 (multiplicity 1)
O 0.749 0.535 0.972 (multiplicity 1)
O 0.757 0.014 0.029 (multiplicity 1)
O 0.758 0.368 0.989 (multiplicity 1)
O 0.759 0.031 0.965 (multiplicity 1)
O 0.761 0.697 0.993 (multiplicity 1)
O 0.762 0.014 0.154 (multiplicity 1)
O 0.763 0.552 0.094 (multiplicity 1)
O 0.766 0.515 0.158 (multiplicity 1)
O 0.770 0.851 0.134 (multiplicity 1)
O 0.776 0.864 0.978 (multiplicity 1)
O 0.784 0.356 0.138 (multiplicity 1)
O 0.805 0.195 0.981 (multiplicity 1)
O 0.809 0.914 0.926 (multiplicity 1)
O 0.811 0.405 0.936 (multiplicity 1)
O 0.824 0.155 0.928 (multiplicity 1)
O 0.827 0.671 0.939 (multiplicity 1)
O 0.851 0.259 0.093 (multiplicity 1)
O 0.855 0.723 0.096 (multiplicity 1)
O 0.859 0.416 0.061 (multiplicity 1)
O 0.969 0.451 0.890 (multiplicity 1)
O 0.985 0.943 0.882 (multiplicity 1)
O 0.991 0.118 0.060 (multiplicity 1)
O 0.996 0.274 0.018 (multiplicity 1)
O 0.997 0.807 0.016 (multiplicity 1)



3.
Na2SiH10O8 after structural relaxation, computed with PBE-GGA.

Properties
- E (MP2020) (hartree per atom) = -0.2047
- DFT formation energy (eV/f.u.) = -35.4
- E (eV per atom) = -5.31

a = 6.676 Å, b = 7.961 Å, c = 8.587 Å
α = 108.88°, β = 98.58°, γ = 104.31°
Space group P-1 (No. 2)
Inequivalent atoms, fractional coordinates:
Na 0.132 0.317 0.162 (multiplicity 2)
Na 0.313 0.542 0.651 (multiplicity 2)
Si 0.470 0.034 0.266 (multiplicity 2)
H 0.005 0.842 0.212 (multiplicity 2)
H 0.075 0.772 0.580 (multiplicity 2)
H 0.137 0.167 0.410 (multiplicity 2)
H 0.156 0.469 0.892 (multiplicity 2)
H 0.252 0.195 0.847 (multiplicity 2)
H 0.282 0.921 0.437 (multiplicity 2)
H 0.292 0.686 0.988 (multiplicity 2)
H 0.387 0.683 0.407 (multiplicity 2)
H 0.425 0.138 0.044 (multiplicity 2)
H 0.458 0.681 0.240 (multiplicity 2)
O 0.081 0.273 0.420 (multiplicity 2)
O 0.130 0.243 0.874 (multiplicity 2)
O 0.174 0.595 0.887 (multiplicity 2)
O 0.257 0.976 0.346 (multiplicity 2)
O 0.327 0.823 0.575 (multiplicity 2)
O 0.389 0.154 0.156 (multiplicity 2)
O 0.421 0.599 0.306 (multiplicity 2)
O 0.488 0.151 0.857 (multiplicity 2)



4.
Na2TiSi4H2O13 after structural relaxation, computed with PBE-GGA.

Properties
- E (MP2020) (hartree per atom) = -0.2690
- DFT formation energy (eV/f.u.) = -57.7
- E (eV per atom) = -6.92

a = 8.787 Å, b = 7.446 Å, c = 16.530 Å
α = 90.00°, β = 90.00°, γ = 90.00°
Space group Pbcn (No. 60)
Inequivalent atoms, fractional coordinates:
Na 0.192 0.120 0.103 (multiplicity 8)
Ti 0.000 0.500 0.000 (multiplicity 4)
Si 0.060 0.242 0.843 (multiplicity 8)
Si 0.160 0.123 0.420 (multiplicity 8)
H 0.182 0.344 0.245 (multiplicity 8)
O 0.000 0.227 0.750 (multiplicity 4)
O 0.036 0.270 0.449 (multiplicity 8)
O 0.041 0.385 0.607 (multiplicity 8)
O 0.050 0.041 0.884 (multiplicity 8)
O 0.212 0.375 0.189 (multiplicity 8)
O 0.221 0.442 0.989 (multiplicity 8)
O 0.241 0.300 0.841 (multiplicity 8)



| no. | spin magnetization (μB per cell) |
| --- | --- |
| 1 | 0.0 |
| 2 | 0.0 |
| 3 | 0.0 |
| 4 | 8.0 |